Li7Mn2Co3O12 (PBE with a Hubbard U, optimized geometry); energy with MP2020 corrections = -6.54 eV per atom; magnetic moment = 10.00 Bohr magnetons per cell; volume = 8.98 A^3/atom; SG = P1; DFT total energy = -5.85 eV/atom; ΔE to the lowest computed polymorph = 74 meV/atom; mass density = 4.060 g cm⁻³
1.0
2.961 0.000 0.000
0.128 5.075 0.000
0.845 0.422 14.350
Li Mn Co O
7 2 3 12
Direct
0.000 0.000 0.000
0.001 0.664 0.333
0.012 0.352 0.669
0.494 0.822 0.666
0.497 0.167 0.834
0.503 0.835 0.167
0.509 0.509 0.507
0.005 0.992 0.507
0.006 0.340 0.166
0.500 0.507 0.999
0.516 0.175 0.336
0.998 0.675 0.828
0.006 0.968 0.763
0.026 0.311 0.416
0.030 0.653 0.083
0.472 0.190 0.081
0.473 0.508 0.758
0.481 0.146 0.575
0.529 0.810 0.918
0.529 0.861 0.427
0.538 0.494 0.250
0.975 0.373 0.917
0.988 0.020 0.252
0.995 0.687 0.577

Li7Mn4CoO12 (PBE with a Hubbard U, optimized geometry); energy with MP2020 corrections = -6.93 eV per atom; magnetic moment = 27.98 Bohr magnetons per cell; volume = 9.03 A^3/atom; SG = C2/m; DFT total energy = -6.24 eV/atom; ΔE to the lowest computed polymorph = 13 meV/atom; mass density = 3.981 g cm⁻³
1.0
2.602 -4.295 0.000
2.602 4.295 0.000
-2.542 0.000 19.378
Li Mn Co O
14 8 2 24
Direct
0.000 0.000 0.250
0.000 0.000 0.750
0.089 0.411 0.374
0.089 0.411 0.874
0.252 0.252 0.128
0.253 0.253 0.628
0.411 0.089 0.374
0.411 0.089 0.874
0.589 0.911 0.126
0.589 0.911 0.626
0.747 0.747 0.372
0.748 0.748 0.872
0.911 0.589 0.126
0.911 0.589 0.626
0.167 0.833 0.000
0.168 0.832 0.500
0.332 0.668 0.250
0.332 0.668 0.750
0.668 0.332 0.250
0.668 0.332 0.750
0.832 0.168 0.500
0.833 0.167 0.000
0.500 0.500 0.000
0.500 0.500 0.500
0.023 0.666 0.305
0.023 0.666 0.805
0.102 0.102 0.940
0.106 0.106 0.441
0.235 0.563 0.558
0.236 0.564 0.058
0.334 0.977 0.195
0.334 0.977 0.695
0.392 0.392 0.306
0.392 0.392 0.806
0.436 0.764 0.942
0.437 0.765 0.442
0.563 0.235 0.558
0.564 0.236 0.058
0.608 0.608 0.194
0.608 0.608 0.694
0.666 0.023 0.305
0.666 0.023 0.805
0.764 0.436 0.942
0.765 0.437 0.442
0.894 0.894 0.559
0.898 0.898 0.060
0.977 0.334 0.195
0.977 0.334 0.695

Li7Mn2Co3O12 (PBE with a Hubbard U, optimized geometry); energy with MP2020 corrections = -6.44 eV per atom; magnetic moment = 13.44 Bohr magnetons per cell; volume = 9.30 A^3/atom; SG = Cm; DFT total energy = -5.76 eV/atom; ΔE to the lowest computed polymorph = 172 meV/atom; mass density = 3.924 g cm⁻³
1.0
2.627 -1.431 0.000
2.627 1.431 0.000
-1.249 0.000 29.691
Li Mn Co O
7 2 3 12
Direct
0.000 0.000 0.000
0.001 0.001 0.249
0.004 0.004 0.501
0.337 0.337 0.834
0.347 0.347 0.329
0.660 0.660 0.167
0.666 0.666 0.669
0.335 0.335 0.584
0.673 0.673 0.418
0.003 0.003 0.751
0.334 0.334 0.081
0.668 0.668 0.917
0.007 0.007 0.118
0.020 0.020 0.382
0.021 0.021 0.880
0.317 0.317 0.953
0.320 0.320 0.456
0.330 0.330 0.712
0.336 0.336 0.206
0.668 0.668 0.042
0.669 0.669 0.293
0.677 0.677 0.789
0.695 0.695 0.545
0.977 0.977 0.622

Li3MnCoO5 (PBE with a Hubbard U, optimized geometry); energy with MP2020 corrections = -6.60 eV per atom; magnetic moment = 10.00 Bohr magnetons per cell; volume = 9.09 A^3/atom; SG = P1; DFT total energy = -5.93 eV/atom; ΔE to the lowest computed polymorph = 34 meV/atom; mass density = 3.921 g cm⁻³
1.0
2.917 0.000 0.000
1.455 6.410 0.000
0.133 1.886 9.726
Li Mn Co O
6 2 2 10
Direct
0.000 0.000 0.000
0.068 0.814 0.280
0.165 0.619 0.577
0.384 0.189 0.195
0.562 0.810 0.775
0.773 0.421 0.380
0.686 0.617 0.088
0.870 0.204 0.682
0.281 0.406 0.887
0.483 0.987 0.468
0.007 0.933 0.634
0.158 0.691 0.950
0.231 0.519 0.212
0.329 0.293 0.555
0.407 0.122 0.815
0.549 0.885 0.127
0.620 0.718 0.441
0.718 0.485 0.745
0.849 0.324 0.023
0.923 0.113 0.345

Li7Mn2Co3O12 (PBE with a Hubbard U, optimized geometry); energy with MP2020 corrections = -6.57 eV per atom; magnetic moment = 6.00 Bohr magnetons per cell; volume = 8.88 A^3/atom; SG = P1; DFT total energy = -5.89 eV/atom; ΔE to the lowest computed polymorph = 43 meV/atom; mass density = 4.107 g cm⁻³
1.0
5.104 0.000 0.000
1.633 5.639 0.000
1.675 0.982 7.407
Li Mn Co O
7 2 3 12
Direct
0.000 0.000 0.000
0.000 0.157 0.342
0.003 0.665 0.337
0.003 0.842 0.657
0.006 0.496 0.000
0.008 0.324 0.664
0.503 0.000 0.500
0.503 0.162 0.830
0.508 0.327 0.168
0.499 0.832 0.181
0.504 0.673 0.825
0.505 0.492 0.501
0.266 0.825 0.405
0.270 0.477 0.752
0.271 0.002 0.763
0.280 0.342 0.403
0.283 0.169 0.079
0.285 0.644 0.077
0.723 0.328 0.923
0.725 0.850 0.918
0.731 0.651 0.592
0.734 0.170 0.600
0.736 0.493 0.244
0.737 0.017 0.241

Li4Mn3CoO8 (PBE with a Hubbard U, optimized geometry); energy with MP2020 corrections = -7.11 eV per atom; magnetic moment = 16.00 Bohr magnetons per cell; volume = 9.40 A^3/atom; SG = C2/m; DFT total energy = -6.35 eV/atom; ΔE to the lowest computed polymorph = 33 meV/atom; mass density = 4.191 g cm⁻³
1.0
4.979 -1.535 0.000
4.979 1.535 0.000
-2.183 0.000 9.839
Li Mn Co O
4 3 1 8
Direct
0.249 0.249 0.375
0.249 0.249 0.879
0.751 0.751 0.121
0.751 0.751 0.625
0.000 0.000 0.500
0.499 0.499 0.750
0.501 0.501 0.250
0.000 0.000 0.000
0.115 0.115 0.179
0.115 0.115 0.680
0.384 0.384 0.570
0.385 0.385 0.069
0.615 0.615 0.931
0.616 0.616 0.430
0.885 0.885 0.320
0.885 0.885 0.821

Li7Mn4CoO12 (PBE with a Hubbard U, optimized geometry); energy with MP2020 corrections = -6.92 eV per atom; magnetic moment = 16.00 Bohr magnetons per cell; volume = 9.11 A^3/atom; SG = P1; DFT total energy = -6.23 eV/atom; ΔE to the lowest computed polymorph = 21 meV/atom; mass density = 3.944 g cm⁻³
1.0
5.058 0.000 0.000
-0.926 5.004 0.000
-0.456 -2.237 8.638
Li Mn Co O
7 4 1 12
Direct
0.000 0.000 0.000
0.004 0.988 0.325
0.234 0.503 0.925
0.465 0.011 0.849
0.470 0.018 0.523
0.477 0.990 0.168
0.982 0.009 0.683
0.228 0.516 0.601
0.731 0.518 0.768
0.734 0.503 0.422
0.738 0.489 0.084
0.243 0.485 0.242
0.078 0.749 0.803
0.095 0.735 0.470
0.104 0.719 0.140
0.367 0.281 0.712
0.371 0.273 0.374
0.387 0.260 0.052
0.594 0.743 0.642
0.617 0.710 0.276
0.629 0.721 0.959
0.838 0.285 0.892
0.848 0.296 0.571
0.879 0.266 0.207

Across the entries above, calculated formation energy takes the values -1.859, -2.071, -1.761, -1.926, -1.891, -1.995, -2.063 eV per atom, respectively.